Record 1
## Y3BBr3 (GGA-PBE)

Data for a geometry-optimized Y3BBr3 structure.

Cell and atoms, written as POSCAR:
```
Y3BBr3
1.0
-5.632 5.632 5.632
5.632 -5.632 5.632
5.632 5.632 -5.632
Y B Br
12 4 12
Direct
0.020 0.041 0.270
0.020 0.480 0.750
0.041 0.270 0.020
0.230 0.270 0.750
0.230 0.459 0.480
0.270 0.020 0.041
0.270 0.750 0.230
0.459 0.480 0.230
0.480 0.230 0.459
0.480 0.750 0.020
0.750 0.020 0.480
0.750 0.230 0.270
0.000 0.250 0.500
0.250 0.250 0.250
0.250 0.500 0.000
0.500 0.000 0.250
0.250 0.758 0.742
0.250 0.992 0.508
0.508 0.250 0.992
0.508 0.758 0.516
0.516 0.508 0.758
0.742 0.250 0.758
0.742 0.992 0.984
0.758 0.516 0.508
0.758 0.742 0.250
0.984 0.742 0.992
0.992 0.508 0.250
0.992 0.984 0.742
```

Computed properties:
**ΔH_f (0 K)**: -1530 meV/atom

***

Record 2
## Y4BBr6 (GGA-PBE)

Data for a geometry-optimized Y4BBr6 structure.

Cell and atoms, written as POSCAR:
```
Y4BBr6
1.0
9.159 -5.655 0.000
9.159 5.655 0.000
-1.418 0.000 12.567
Y B Br
16 4 24
Direct
0.030 0.789 0.192
0.043 0.284 0.546
0.081 0.859 0.912
0.141 0.919 0.588
0.211 0.970 0.308
0.284 0.043 0.046
0.311 0.617 0.395
0.383 0.689 0.105
0.617 0.311 0.895
0.689 0.383 0.605
0.716 0.957 0.954
0.789 0.030 0.692
0.859 0.081 0.412
0.919 0.141 0.088
0.957 0.716 0.454
0.970 0.211 0.808
0.088 0.840 0.394
0.160 0.912 0.106
0.840 0.088 0.894
0.912 0.160 0.606
0.031 0.753 0.685
0.046 0.306 0.026
0.120 0.357 0.748
0.192 0.447 0.466
0.247 0.969 0.815
0.275 0.516 0.181
0.306 0.046 0.526
0.341 0.586 0.897
0.357 0.120 0.248
0.414 0.659 0.603
0.447 0.192 0.966
0.484 0.725 0.319
0.516 0.275 0.681
0.553 0.808 0.034
0.586 0.341 0.397
0.643 0.880 0.752
0.659 0.414 0.103
0.694 0.954 0.474
0.725 0.484 0.819
0.753 0.031 0.185
0.808 0.553 0.534
0.880 0.643 0.252
0.954 0.694 0.974
0.969 0.247 0.315
```

Computed properties:
**ΔH_f (0 K)**: -1831 meV/atom

***

Record 3
## BC (GGA-PBE)

Data for a geometry-optimized BC structure.

Cell and atoms, written as POSCAR:
```
BC
1.0
2.592 0.000 0.000
-1.296 2.244 0.000
0.000 0.000 4.657
B C
2 2
Direct
0.333 0.667 0.000
0.667 0.333 0.500
0.333 0.667 0.336
0.667 0.333 0.836
```

Computed properties:
**ΔH_f (0 K)**: 500 meV/atom

***

Number 1: total DFT energy (no corrections) -5.73 eV per atom. Number 2: total DFT energy (no corrections) -5.39 eV per atom. Number 3: total DFT energy (no corrections) -7.45 eV per atom.